A relaxed Th2P3O13 crystal, computed with PBE.

Summary:
ρ, g cm⁻³: 4.86
Final energy, eV for the cell shown: -279.0
ΔH_f (0 K), meV/atom: -2948

Unit cell a=7.1126 b=6.7868 c=11.3252 alpha=73.01 beta=90.00 gamma=90.00
Atoms (fractional coordinates):
O1 0.3293 0.1024 0.5048
O2 0.7402 0.2794 0.9310
Th1 0.3305 0.0008 0.7170
Th2 0.8315 0.2982 0.7204
Th3 0.3315 0.7018 0.2796
O3 0.0003 0.9975 0.6658
O4 0.5003 0.0025 0.3342
O5 0.8446 0.6415 0.7059
O6 0.1639 0.3506 0.6788
O7 0.9536 0.2853 0.0923
O8 0.8293 0.8976 0.4952
P1 0.5586 0.1601 0.9859
O9 0.3252 0.5902 0.4881
P2 0.3339 0.1278 0.3661
O10 0.5921 0.9949 0.1121
O11 0.1633 0.0184 0.3238
O12 0.9040 0.7083 0.9795
O13 0.3446 0.3585 0.2941
O14 0.2402 0.7206 0.0690
O15 0.4957 0.0592 0.8863
O16 0.6639 0.6494 0.3212
P3 0.3290 0.5064 0.6296
O17 0.4040 0.2917 0.0205
P4 0.8339 0.8722 0.6339
P5 0.0586 0.8399 0.0141
Th4 0.8305 0.9992 0.2830
O18 0.5060 0.3686 0.6722
O19 0.9957 0.9408 0.1137
O20 0.8179 0.3177 0.3121
O21 0.3179 0.6823 0.6879
O22 0.8252 0.4098 0.5119
O23 0.6633 0.9816 0.6762
P6 0.8290 0.4936 0.3704
O24 0.4536 0.7147 0.9077
O25 0.0921 0.0051 0.8879
O26 0.0060 0.6314 0.3278


A relaxed TeMoWSeS2 crystal, computed with PBE.

Summary:
ρ, g cm⁻³: 5.12
Final energy, eV for the cell shown: -83.9
ΔH_f (0 K), meV/atom: -707
Excess energy over the best structure of this formula in the dataset, meV/atom: 53

Unit cell a=3.3104 b=3.3104 c=37.6577 alpha=90.00 beta=90.00 gamma=120.00
Atoms (fractional coordinates):
S1 0.6667 0.3333 0.1345
S2 0.6667 0.3333 0.5102
W1 0.6667 0.3333 0.6575
W2 0.6667 0.3333 0.2818
S3 0.6667 0.3333 0.4291
Se1 0.3333 0.6667 0.7024
S4 0.6667 0.3333 0.0533
Se2 0.3333 0.6667 0.6127
Mo1 0.3333 0.6667 0.0939
Te1 0.3333 0.6667 0.2307
Te2 0.3333 0.6667 0.3329
Mo2 0.3333 0.6667 0.4697


A relaxed NaNd3Ti2Sb2O14 crystal, computed with PBE.

Summary:
ρ, g cm⁻³: 5.91
Final energy, eV for the cell shown: -167.4
ΔH_f (0 K), meV/atom: -3093
Excess energy over the best structure of this formula in the dataset, meV/atom: 3

Unit cell a=7.3618 b=7.3618 c=7.3228 alpha=60.83 beta=60.83 gamma=61.06
Atoms (fractional coordinates):
Nd1 0.0000 0.5000 0.0000
O1 0.9243 0.3224 0.4248
O2 0.6776 0.0757 0.5752
Nd2 0.5000 0.5000 0.5000
Na1 0.5000 0.5000 0.0000
O3 0.6812 0.0610 0.1801
O4 0.9306 0.9306 0.8166
O5 0.3188 0.9390 0.8199
Sb1 0.5000 0.0000 0.5000
O6 0.3721 0.3721 0.8745
O7 0.9390 0.3188 0.8199
O8 0.3224 0.9243 0.4248
O9 0.3260 0.3260 0.4294
O10 0.0610 0.6812 0.1801
Sb2 0.0000 0.5000 0.5000
O11 0.0694 0.0694 0.1834
Ti1 0.0000 0.0000 0.5000
Ti2 0.0000 0.0000 0.0000
Nd3 0.5000 0.0000 0.0000
O12 0.0757 0.6776 0.5752
O13 0.6279 0.6279 0.1255
O14 0.6740 0.6740 0.5706